Compound: Sr2MgFeO4
Source: the Materials Project database
Functional: PBE+U
Structure: optimized geometry

a = 3.8865 Å, b = 3.8865 Å, c = 9.3700 Å
α = 114.06°, β = 114.06°, γ = 90.03°
Fractional positions:
O: 0.6859 0.1882 0.9621
O: 0.1882 0.6859 0.9621
O: 0.8595 0.8595 0.6286
O: 0.0720 0.0720 0.3358
Mg: 0.1184 0.1184 0.8936
Sr: 0.3925 0.3925 0.6645
Sr: 0.5522 0.5522 0.3212
Fe: 0.7980 0.7980 0.0745

Summary:
Uncorrected energy in hartree per atom: -0.22403
E_form in meV per atom: -2567
Energy above the lowest structure with this stoichiometry in kcal/mol of atoms: 0.00